# Na14Ti4Zn4Si7S5O48 (PBE, relaxed)
# * formation energy from the elements: -245.05 kJ/mol of atoms
# * total DFT energy (no corrections): -1579.75 eV for the cell shown
# * V: 12.76 A^3/atom
data_Na14Ti4Zn4Si7S5O48
_chemical_formula_sum 'Na42 Ti12 Zn12 Si21 S15 O144'
_space_group_name_H-M_alt 'P 1'
_space_group_IT_number 1
_cell_length_a 18.1140
_cell_length_b 9.0841
_cell_length_c 22.0346
_cell_angle_alpha 90.18
_cell_angle_beta 89.22
_cell_angle_gamma 120.01
loop_
_space_group_symop_operation_xyz
'x,y,z'
loop_
_atom_site_label
_atom_site_fract_x
_atom_site_fract_y
_atom_site_fract_z
_atom_site_occupancy
Na1 0.8086 0.9938 0.2541 1
Na2 0.1813 0.3521 0.2567 1
Na3 0.6887 0.3695 0.2563 1
Na4 0.9935 0.6329 0.2475 1
Na5 0.4984 0.6324 0.2538 1
Na6 0.3100 0.6246 0.7429 1
Na7 0.9974 0.3609 0.7480 1
Na8 0.4956 0.3581 0.7418 1
Na9 0.1886 0.0080 0.7519 1
Na10 0.6836 0.0121 0.7523 1
Na11 0.1514 0.3303 0.5871 1
Na12 0.6582 0.3356 0.5756 1
Na13 0.3369 0.9876 0.5802 1
Na14 0.8378 0.9849 0.5781 1
Na15 0.1570 0.9829 0.0818 1
Na16 0.6514 0.9720 0.0907 1
Na17 0.3374 0.6902 0.0840 1
Na18 0.8348 0.6893 0.0835 1
Na19 0.4785 0.6721 0.9225 1
Na20 0.9748 0.6683 0.9194 1
Na21 0.3567 0.0466 0.9146 1
Na22 0.8544 0.0432 0.9117 1
Na23 0.1685 0.2830 0.9145 1
Na24 0.6693 0.2867 0.9107 1
Na25 0.4774 0.2862 0.4209 1
Na26 0.9746 0.2767 0.4242 1
Na27 0.1688 0.0557 0.4101 1
Na28 0.6733 0.0460 0.4122 1
Na29 0.3562 0.6682 0.4122 1
Na30 0.8544 0.6720 0.4171 1
Na31 0.9954 0.9917 0.4969 1
Na32 0.5037 0.9951 0.4986 1
Na33 0.0000 0.0074 0.0004 1
Na34 0.5005 0.0090 0.0007 1
Na35 0.3275 0.3240 0.8272 1
Na36 0.8258 0.3382 0.8302 1
Na37 0.3282 0.3164 0.3325 1
Na38 0.8260 0.3195 0.3326 1
Na39 0.1656 0.6696 0.1706 1
Na40 0.6607 0.6564 0.1721 1
Na41 0.1609 0.6638 0.6697 1
Na42 0.6637 0.6585 0.6653 1
Ti1 0.9918 0.0071 0.6489 1
Ti2 0.5051 0.0326 0.6495 1
Ti3 0.0048 0.9804 0.1508 1
Ti4 0.4921 0.9769 0.1501 1
Ti5 0.8281 0.3280 0.6787 1
Ti6 0.3273 0.3284 0.1799 1
Ti7 0.1668 0.6673 0.0296 1
Ti8 0.6644 0.6777 0.0161 1
Ti9 0.1647 0.6538 0.5162 1
Ti10 0.6755 0.6794 0.5263 1
Ti11 0.1821 0.6845 0.3129 1
Ti12 0.6822 0.6816 0.8117 1
Zn1 0.9996 0.0010 0.3517 1
Zn2 0.4956 0.9906 0.3438 1
Zn3 0.9952 0.9987 0.8418 1
Zn4 0.5090 0.0132 0.8433 1
Zn5 0.3347 0.3199 0.6853 1
Zn6 0.8347 0.3459 0.1863 1
Zn7 0.3352 0.3328 0.0055 1
Zn8 0.8304 0.3446 0.9793 1
Zn9 0.3329 0.3199 0.4796 1
Zn10 0.8318 0.3175 0.4933 1
Zn11 0.6772 0.6969 0.3120 1
Zn12 0.1710 0.6596 0.8083 1
Si1 0.1504 0.9981 0.2535 1
Si2 0.6463 0.0049 0.2506 1
Si3 0.3514 0.6926 0.2522 1
Si4 0.8529 0.7051 0.2535 1
Si5 0.1467 0.2858 0.7517 1
Si6 0.6533 0.3085 0.7520 1
Si7 0.3541 0.9983 0.7548 1
Si8 0.8517 0.0118 0.7524 1
Si9 0.4808 0.3420 0.5820 1
Si10 0.9840 0.3425 0.5845 1
Si11 0.6795 0.0329 0.5829 1
Si12 0.8411 0.6307 0.5778 1
Si13 0.4832 0.6265 0.0833 1
Si14 0.9769 0.6202 0.0826 1
Si15 0.3401 0.0447 0.0788 1
Si16 0.1801 0.3261 0.0816 1
Si17 0.8157 0.6723 0.9180 1
Si18 0.6653 0.9611 0.9142 1
Si19 0.3161 0.9606 0.4188 1
Si20 0.8136 0.9692 0.4163 1
Si21 0.1678 0.3741 0.4145 1
S1 0.0011 0.2909 0.2510 1
S2 0.4942 0.2851 0.2493 1
S3 0.9958 0.7042 0.7504 1
S4 0.5006 0.7094 0.7528 1
S5 0.1801 0.0273 0.5831 1
S6 0.3333 0.6356 0.5822 1
S7 0.8331 0.0326 0.0810 1
S8 0.6796 0.3333 0.0823 1
S9 0.3105 0.6615 0.9177 1
S10 0.0266 0.3866 0.9186 1
S11 0.5235 0.3852 0.9156 1
S12 0.1681 0.9527 0.9163 1
S13 0.6659 0.3795 0.4151 1
S14 0.0260 0.6645 0.4152 1
S15 0.5248 0.6653 0.4181 1
O1 0.1142 0.0488 0.3124 1
O2 0.6085 0.0475 0.3118 1
O3 0.4065 0.7676 0.3125 1
O4 0.9113 0.7909 0.3125 1
O5 0.4830 0.1955 0.3081 1
O6 0.9947 0.2054 0.3094 1
O7 0.1098 0.1713 0.8138 1
O8 0.6205 0.1903 0.8126 1
O9 0.4926 0.7811 0.8120 1
O10 0.9865 0.7730 0.8099 1
O11 0.4092 0.0208 0.8158 1
O12 0.9063 0.0448 0.8132 1
O13 0.4068 0.9781 0.6952 1
O14 0.9008 0.9860 0.6927 1
O15 0.0833 0.1730 0.6946 1
O16 0.5863 0.2075 0.6951 1
O17 0.0022 0.8156 0.6999 1
O18 0.5121 0.8253 0.7024 1
O19 0.4000 0.8141 0.1920 1
O20 0.9072 0.8309 0.1930 1
O21 0.0129 0.1975 0.1996 1
O22 0.4994 0.1844 0.1979 1
O23 0.0868 0.9674 0.1938 1
O24 0.5829 0.9944 0.1929 1
O25 0.4420 0.3696 0.6445 1
O26 0.9345 0.3576 0.6450 1
O27 0.2335 0.1057 0.6374 1
O28 0.7476 0.1305 0.6394 1
O29 0.3204 0.5326 0.6373 1
O30 0.8217 0.4924 0.6332 1
O31 0.4310 0.5060 0.1414 1
O32 0.9414 0.5136 0.1442 1
O33 0.3174 0.1448 0.1317 1
O34 0.8203 0.1109 0.1353 1
O35 0.2476 0.3669 0.1380 1
O36 0.7338 0.3614 0.1355 1
O37 0.2171 0.2834 0.0205 1
O38 0.7167 0.2995 0.0264 1
O39 0.4263 0.5614 0.0222 1
O40 0.9182 0.5497 0.0229 1
O41 0.3531 0.1387 0.0141 1
O42 0.8399 0.1273 0.0250 1
O43 0.2181 0.1363 0.5283 1
O44 0.7114 0.1506 0.5227 1
O45 0.3393 0.5516 0.5269 1
O46 0.8524 0.5541 0.5147 1
O47 0.4179 0.2853 0.5241 1
O48 0.9271 0.2919 0.5246 1
O49 0.2629 0.6695 0.9726 1
O50 0.7591 0.6825 0.9768 1
O51 0.0808 0.4897 0.9701 1
O52 0.5748 0.4817 0.9697 1
O53 0.1689 0.8570 0.9714 1
O54 0.6569 0.8399 0.9751 1
O55 0.2604 0.8382 0.4777 1
O56 0.7575 0.8395 0.4753 1
O57 0.1604 0.4794 0.4757 1
O58 0.6638 0.4724 0.4707 1
O59 0.0767 0.6678 0.4695 1
O60 0.5776 0.6702 0.4694 1
O61 0.0713 0.6562 0.3594 1
O62 0.5598 0.6435 0.3595 1
O63 0.2558 0.8524 0.3594 1
O64 0.7577 0.8940 0.3556 1
O65 0.1741 0.4961 0.3564 1
O66 0.6657 0.4713 0.3596 1
O67 0.0639 0.4790 0.8607 1
O68 0.5686 0.4808 0.8596 1
O69 0.1700 0.8623 0.8606 1
O70 0.6720 0.8511 0.8564 1
O71 0.2626 0.6491 0.8622 1
O72 0.7554 0.6595 0.8589 1
O73 0.0226 0.8232 0.4188 1
O74 0.5209 0.8256 0.4201 1
O75 0.4085 0.9714 0.4169 1
O76 0.9044 0.9711 0.4192 1
O77 0.0820 0.1905 0.4183 1
O78 0.5878 0.2072 0.4193 1
O79 0.0227 0.2195 0.9215 1
O80 0.5169 0.2161 0.9190 1
O81 0.0891 0.9642 0.9210 1
O82 0.5784 0.9727 0.9168 1
O83 0.3955 0.8182 0.9195 1
O84 0.9082 0.8461 0.9169 1
O85 0.4924 0.1659 0.5906 1
O86 0.9988 0.1738 0.5937 1
O87 0.0938 0.0075 0.5902 1
O88 0.5848 0.0069 0.5991 1
O89 0.4080 0.8104 0.5858 1
O90 0.9189 0.8257 0.5917 1
O91 0.4977 0.8227 0.0923 1
O92 0.9925 0.8199 0.0895 1
O93 0.4173 0.0056 0.0913 1
O94 0.9073 0.0050 0.0847 1
O95 0.0864 0.1608 0.0950 1
O96 0.5933 0.1810 0.0891 1
O97 0.3447 0.1676 0.7498 1
O98 0.8392 0.1774 0.7442 1
O99 0.2441 0.3207 0.7416 1
O100 0.7461 0.3265 0.7380 1
O101 0.4221 0.5405 0.7477 1
O102 0.9217 0.5295 0.7454 1
O103 0.3392 0.5017 0.2428 1
O104 0.8435 0.5169 0.2485 1
O105 0.4199 0.3124 0.2435 1
O106 0.9226 0.3018 0.2456 1
O107 0.2435 0.1661 0.2379 1
O108 0.7431 0.1645 0.2406 1
O109 0.3201 0.5079 0.9186 1
O110 0.8187 0.4966 0.9153 1
O111 0.4385 0.3708 0.9162 1
O112 0.9390 0.3616 0.9228 1
O113 0.2448 0.1261 0.9145 1
O114 0.7538 0.1418 0.9185 1
O115 0.3183 0.1412 0.4157 1
O116 0.8240 0.1590 0.4224 1
O117 0.2565 0.3707 0.4183 1
O118 0.7439 0.3645 0.4135 1
O119 0.4361 0.5159 0.4224 1
O120 0.9410 0.5126 0.4153 1
O121 0.1770 0.5063 0.0763 1
O122 0.6736 0.4906 0.0759 1
O123 0.0787 0.6630 0.0728 1
O124 0.5806 0.6538 0.0787 1
O125 0.2503 0.8489 0.0755 1
O126 0.7524 0.8535 0.0785 1
O127 0.1741 0.8582 0.5768 1
O128 0.6774 0.8486 0.5793 1
O129 0.2531 0.6545 0.5801 1
O130 0.7521 0.6483 0.5768 1
O131 0.0823 0.5085 0.5799 1
O132 0.5805 0.4956 0.5724 1
O133 0.1513 0.8171 0.2566 1
O134 0.6428 0.8213 0.2471 1
O135 0.2550 0.6728 0.2524 1
O136 0.7586 0.6881 0.2486 1
O137 0.0778 0.4669 0.2501 1
O138 0.5740 0.4535 0.2486 1
O139 0.1459 0.4664 0.7500 1
O140 0.6517 0.4885 0.7563 1
O141 0.0762 0.6939 0.7497 1
O142 0.5772 0.6865 0.7525 1
O143 0.2593 0.8263 0.7507 1
O144 0.7556 0.8376 0.7529 1